# 1
The following is a GGA-PBE calculation of a geometry-optimized Pr2Cu3Sn3 structure, from Materials Project.

Computed properties:
As for the total energy: -3.668 eV per atom. As for the space group: P4/mmm, No. 123.

Cell: 3.0239 3.0239 22.8247 Å, 90.00 90.00 90.00°
Fractional positions:
Cu  0.5000  0.5000  0.1164
Cu  0.5000  0.5000  0.8836
Sn  0.5000  0.5000  0.0000
Pr  0.5000  0.5000  0.7576
Sn  0.5000  0.5000  0.6122
Cu  0.5000  0.5000  0.5000
Sn  0.5000  0.5000  0.3878
Pr  0.5000  0.5000  0.2424

=====

# 2
The following is a GGA-PBE calculation of a geometry-optimized Pr2Cu4Sn5 structure, from Materials Project.

Computed properties:
As for the total energy: -4.431 eV per atom. As for the space group: I4mm, No. 107.

Cell: 12.7114 12.7114 12.7114 Å, 159.47 159.47 29.20°
Fractional positions:
Sn  0.7851  0.2851  0.5000
Sn  0.5323  0.5323  0.0000
Cu  0.2271  0.2271  0.0000
Pr  0.9984  0.9984  0.0000
Cu  0.0911  0.5911  0.5000
Sn  0.2851  0.7851  0.5000
Sn  0.9019  0.4019  0.5000
Sn  0.4019  0.9019  0.5000
Cu  0.5911  0.0911  0.5000
Pr  0.6815  0.6815  0.0000
Cu  0.1304  0.1304  0.0000

=====

# 3
The following is a GGA-PBE calculation of a geometry-optimized PrCu2Sn2 structure, from Materials Project.

Computed properties:
As for the total energy: -4.625 eV per atom. As for the space group: P4/nmm, No. 129.

Cell: 4.4798 4.4798 10.6893 Å, 90.00 90.00 90.00°
Fractional positions:
Sn  0.5000  0.0000  0.1276
Cu  0.0000  0.5000  0.6352
Sn  0.5000  0.5000  0.5000
Sn  0.0000  0.0000  0.5000
Cu  0.5000  0.0000  0.3648
Cu  0.0000  0.0000  0.0000
Pr  0.0000  0.5000  0.2371
Pr  0.5000  0.0000  0.7629
Sn  0.0000  0.5000  0.8724
Cu  0.5000  0.5000  0.0000

=====

# 4
The following is a GGA-PBE calculation of a geometry-optimized PrCu5Sn structure, from Materials Project.

Computed properties:
As for the total energy: -4.427 eV per atom. As for the space group: Pnma, No. 62.

Cell: 5.0886 8.3610 10.6592 Å, 90.00 90.00 90.00°
Fractional positions:
Cu  0.2500  0.4162  0.0169
Cu  0.2500  0.5609  0.3944
Sn  0.7500  0.8584  0.1391
Cu  0.2500  0.0609  0.1056
Sn  0.2500  0.6416  0.6391
Cu  0.7500  0.1849  0.7446
Pr  0.7500  0.7450  0.4391
Cu  0.7500  0.6849  0.7554
Cu  0.9990  0.4340  0.8130
Cu  0.4990  0.5660  0.1870
Pr  0.2500  0.7550  0.9391
Cu  0.0010  0.5660  0.1870
Sn  0.2500  0.1416  0.8609
Cu  0.9990  0.9340  0.6870
Cu  0.5010  0.4340  0.8130
Cu  0.7500  0.5838  0.9831
Cu  0.4990  0.0660  0.3130
Pr  0.7500  0.2450  0.0609
Cu  0.7500  0.4391  0.6056
Cu  0.2500  0.3151  0.2446
Cu  0.7500  0.9391  0.8944
Sn  0.7500  0.3584  0.3609
Cu  0.7500  0.0838  0.5169
Pr  0.2500  0.2550  0.5609
Cu  0.5010  0.9340  0.6870
Cu  0.0010  0.0660  0.3130
Cu  0.2500  0.8151  0.2554
Cu  0.2500  0.9162  0.4831

=====

# 5
The following is a GGA-PBE calculation of a geometry-optimized Pr2CuSn4 structure, from Materials Project.

Computed properties:
As for the total energy: -4.809 eV per atom. As for the space group: Amm2, No. 38.

Cell: 4.5229 4.5871 9.2059 Å, 75.57 90.00 90.00°
Fractional positions:
Pr  0.7500  0.1028  0.7944
Cu  0.2500  0.6810  0.6379
Sn  0.2500  0.5394  0.9212
Sn  0.7500  0.4334  0.1332
Sn  0.7500  0.7592  0.4816
Pr  0.2500  0.8975  0.2051
Sn  0.2500  0.2597  0.4806

=====

# 6
The following is a GGA-PBE calculation of a geometry-optimized CuPt structure, from Materials Project.

Computed properties:
As for the total energy: -5.244 eV per atom. As for the space group: R-3m, No. 166.

Cell: 2.7465 2.7465 4.5714 Å, 72.52 72.52 60.00°
Fractional positions:
Pt  0.5000  0.5000  0.5000
Cu  0.0000  0.0000  0.0000

=====

# 7
The following is a GGA-PBE calculation of a geometry-optimized Sr2CuPt structure, from Materials Project.

Computed properties:
As for the total energy: -3.774 eV per atom. As for the space group: Fm-3m, No. 225.

Cell: 5.2733 5.2733 5.2733 Å, 60.00 60.00 60.00°
Fractional positions:
Sr  0.7500  0.7500  0.7500
Pt  0.0000  0.0000  0.0000
Cu  0.5000  0.5000  0.5000
Sr  0.2500  0.2500  0.2500

=====

# 8
The following is a GGA-PBE calculation of a geometry-optimized Tb4CuPt3 structure, from Materials Project.

Computed properties:
As for the total energy: -6.139 eV per atom. As for the space group: Pm, No. 6.

Cell: 4.5586 5.5798 7.0246 Å, 89.59 90.00 90.00°
Fractional positions:
Tb  0.0000  0.8571  0.8190
Pt  0.5000  0.6556  0.0450
Cu  0.0000  0.1360  0.4632
Pt  0.0000  0.3402  0.9562
Tb  0.5000  0.1387  0.1772
Tb  0.5000  0.3646  0.6881
Pt  0.5000  0.8671  0.5347
Tb  0.0000  0.6406  0.3166

=====

# 9
The following is a GGA-PBE calculation of a geometry-optimized Zn2CuPt structure, from Materials Project.

Computed properties:
As for the total energy: -3.516 eV per atom. As for the space group: Fm-3m, No. 225.

Cell: 4.2930 4.2930 4.2930 Å, 60.00 60.00 60.00°
Fractional positions:
Zn  0.7500  0.7500  0.7500
Zn  0.2500  0.2500  0.2500
Cu  0.5000  0.5000  0.5000
Pt  0.0000  0.0000  0.0000

=====

# 10
The following is a GGA-PBE calculation of a geometry-optimized PuCu6 structure, from Materials Project.

Computed properties:
As for the total energy: -5.570 eV per atom. As for the space group: Pnma, No. 62.

Cell: 5.0267 8.0233 10.0682 Å, 90.00 90.00 90.00°
Fractional positions:
Cu  0.5058  0.5660  0.1911
Cu  0.7500  0.3619  0.3575
Cu  0.7500  0.6831  0.7447
Cu  0.9942  0.0660  0.3089
Cu  0.0058  0.4340  0.8089
Cu  0.5058  0.0660  0.3089
Cu  0.0058  0.9340  0.6911
Cu  0.4942  0.9340  0.6911
Cu  0.7500  0.4372  0.5959
Cu  0.7500  0.9372  0.9041
Cu  0.7500  0.1831  0.7553
Cu  0.2500  0.3169  0.2553
Cu  0.2500  0.1381  0.8575
Cu  0.2500  0.3996  0.0161
Pu  0.7500  0.2416  0.0655
Cu  0.7500  0.8619  0.1425
Cu  0.2500  0.8996  0.4839
Cu  0.2500  0.6381  0.6425
Cu  0.9942  0.5660  0.1911
Pu  0.2500  0.2584  0.5655
Pu  0.2500  0.7584  0.9345
Cu  0.7500  0.1004  0.5161
Cu  0.4942  0.4340  0.8089
Cu  0.2500  0.0628  0.0959
Cu  0.7500  0.6004  0.9839
Cu  0.2500  0.8169  0.2447
Cu  0.2500  0.5628  0.4041
Pu  0.7500  0.7416  0.4345

=====

# 11
The following is a GGA-PBE calculation of a geometry-optimized PuCu2Si2 structure, from Materials Project.

Computed properties:
The calculation puts the total energy after the MP2020 corrections at -0.2597 Ha/atom. As for the space group: I4/mmm, No. 139.

Cell: 3.9834 3.9834 5.7398 Å, 110.30 110.30 90.00°
Fractional positions:
Cu  0.7500  0.2500  0.5000
Cu  0.2500  0.7500  0.5000
Si  0.3823  0.3823  0.7647
Si  0.6177  0.6177  0.2353
Pu  0.0000  0.0000  0.0000

=====

# 12
The following is a GGA-PBE calculation of a geometry-optimized RbCuS3 structure, from Materials Project.

Computed properties:
The calculation puts the total energy after the MP2020 corrections at -0.1439 Ha/atom. As for the space group: Pmm2, No. 25.

Cell: 4.1814 3.4806 7.9012 Å, 90.00 90.00 90.00°
Fractional positions:
S  0.5000  0.5000  0.7226
S  0.5000  0.5000  0.1169
Cu  0.5000  0.0000  0.9088
S  0.0000  0.0000  0.0890
Rb  0.0000  0.0000  0.5047

=====

# 13
The following is a GGA-PBE calculation of a geometry-optimized Rb3Cu8S6 structure, from Materials Project.

Computed properties:
The calculation puts the total energy after the MP2020 corrections at -0.1551 Ha/atom. As for the space group: C2/m, No. 12.

Cell: 9.1199 9.1199 10.0145 Å, 74.65 74.65 24.38°
Fractional positions:
Rb  0.5000  0.5000  0.0000
S  0.6511  0.6511  0.3583
Cu  0.5197  0.5197  0.3560
S  0.3489  0.3489  0.6417
S  0.0340  0.0340  0.7062
Cu  0.9125  0.9125  0.5252
Cu  0.7035  0.7035  0.0616
Cu  0.0875  0.0875  0.4748
Rb  0.6902  0.6902  0.6982
S  0.1583  0.1583  0.9847
Cu  0.4803  0.4803  0.6440
S  0.8417  0.8417  0.0153
S  0.9660  0.9660  0.2938
Rb  0.3098  0.3098  0.3018
Cu  0.8928  0.8928  0.7841
Cu  0.1072  0.1072  0.2159
Cu  0.2965  0.2965  0.9384

=====

# 14
The following is a GGA-PBE calculation of a geometry-optimized RbCu4S3 structure, from Materials Project.

Computed properties:
The calculation puts the total energy after the MP2020 corrections at -0.1585 Ha/atom. As for the space group: P4/mmm, No. 123.

Cell: 3.9120 3.9120 9.4822 Å, 90.00 90.00 90.00°
Fractional positions:
S  0.0000  0.0000  0.0000
Cu  0.0000  0.5000  0.1575
Cu  0.5000  0.0000  0.1575
Rb  0.0000  0.0000  0.5000
S  0.5000  0.5000  0.7142
Cu  0.5000  0.0000  0.8425
S  0.5000  0.5000  0.2858
Cu  0.0000  0.5000  0.8425

=====

# 15
The following is a GGA-PBE calculation of a geometry-optimized RbSm2CuS4 structure, from Materials Project.

Computed properties:
The calculation puts the total energy after the MP2020 corrections at -0.2119 Ha/atom. As for the space group: Cmcm, No. 63.

Cell: 7.2953 7.2953 13.9704 Å, 90.00 90.00 147.75°
Fractional positions:
Cu  0.8352  0.1648  0.2500
S  0.2599  0.7401  0.8887
Cu  0.1648  0.8352  0.7500
Sm  0.3656  0.6344  0.4382
Sm  0.6344  0.3656  0.9382
Rb  0.8936  0.1064  0.7500
S  0.4245  0.5755  0.2500
S  0.2599  0.7401  0.6113
Sm  0.3656  0.6344  0.0618
Sm  0.6344  0.3656  0.5618
S  0.0000  0.0000  0.0000
S  0.7401  0.2599  0.3887
S  0.0000  0.0000  0.5000
Rb  0.1064  0.8936  0.2500
S  0.5755  0.4245  0.7500
S  0.7401  0.2599  0.1113

=====

# 16
The following is a GGA-PBE calculation of a geometry-optimized RbCuSnS3 structure, from Materials Project.

Computed properties:
The calculation puts the total energy after the MP2020 corrections at -0.1643 Ha/atom. As for the space group: C2/c, No. 15.

Cell: 7.9127 7.9127 20.4896 Å, 84.45 84.45 90.01°
Fractional positions:
S  0.6727  0.5365  0.3102
Rb  0.7277  0.6020  0.0900
Cu  0.5622  0.9401  0.7501
Rb  0.2726  0.8969  0.9102
Rb  0.7274  0.1031  0.0898
S  0.6723  0.0585  0.3107
S  0.3277  0.9415  0.6893
S  0.8278  0.4653  0.6869
Rb  0.6020  0.7277  0.5900
S  0.8866  0.7628  0.4481
S  0.0585  0.6723  0.8107
S  0.7628  0.8866  0.9481
Sn  0.8428  0.2174  0.6287
S  0.0587  0.1720  0.8124
Cu  0.5638  0.4362  0.7500
Sn  0.2174  0.8428  0.1287
S  0.2369  0.6108  0.0519
Rb  0.3980  0.2723  0.4100
Cu  0.9401  0.5622  0.2501
S  0.8280  0.9413  0.6876
S  0.5365  0.6727  0.8102
S  0.2372  0.1134  0.0519
S  0.5347  0.1722  0.8131
S  0.4653  0.8278  0.1869
S  0.1720  0.0587  0.3124
Sn  0.7826  0.1572  0.8713
Cu  0.4378  0.0599  0.2499
S  0.9413  0.8280  0.1876
Cu  0.0625  0.9375  0.7500
S  0.1722  0.5347  0.3131
Sn  0.6573  0.7819  0.3706
Sn  0.3427  0.2181  0.6294
Sn  0.7819  0.6573  0.8706
S  0.7631  0.3892  0.9481
Sn  0.1572  0.7826  0.3713
S  0.3273  0.4635  0.6898
Rb  0.1031  0.7274  0.5898
Rb  0.8969  0.2726  0.4102
Sn  0.2181  0.3427  0.1294
S  0.9415  0.3277  0.1893
Rb  0.2723  0.3980  0.9100
S  0.3892  0.7631  0.4481
S  0.4635  0.3273  0.1898
Cu  0.0599  0.4378  0.7499
S  0.6108  0.2369  0.5519
S  0.1134  0.2372  0.5519
Cu  0.9375  0.0625  0.2500
Cu  0.4362  0.5638  0.2500

=====

# 17
The following is a GGA-PBE calculation of a geometry-optimized Rb2TaCuS4 structure, from Materials Project.

Computed properties:
The calculation puts the total energy after the MP2020 corrections at -0.2079 Ha/atom. As for the space group: Fddd, No. 70.

Cell: 13.9944 12.4828 7.4681 Å, 85.15 62.72 32.12°
Fractional positions:
Ta  0.0000  0.0000  0.0000
S  0.3908  0.7162  0.8002
S  0.7162  0.3908  0.0928
Cu  0.5000  0.5000  0.5000
S  0.0928  0.8002  0.7162
S  0.8002  0.0928  0.3908
Rb  0.1775  0.1775  0.8225
S  0.8592  0.5338  0.4498
Ta  0.2500  0.2500  0.2500
S  0.4498  0.1572  0.8592
Rb  0.4275  0.4275  0.0725
S  0.5338  0.8592  0.1572
Rb  0.0725  0.0725  0.4275
S  0.1572  0.4498  0.5338
Cu  0.7500  0.7500  0.7500
Rb  0.8225  0.8225  0.1775

=====

# 18
The following is a GGA-PBE calculation of a geometry-optimized Rb2TaCuS4 structure, from Materials Project.

Computed properties:
The calculation puts the total energy after the MP2020 corrections at -0.2074 Ha/atom. As for the space group: P1, No. 1.

Cell: 13.9944 12.4828 7.4681 Å, 85.15 62.72 32.12°
Fractional positions:
S  0.5952  0.2984  0.2209
S  0.8979  0.2070  0.2938
Cu  0.2545  0.2437  0.2423
Ta  0.7559  0.7462  0.7408
S  0.9434  0.6656  0.3662
S  0.2248  0.8839  0.5892
Cu  0.9976  0.9983  0.0017
Rb  0.9212  0.9363  0.5759
S  0.0395  0.3515  0.6569
S  0.2927  0.5990  0.9005
Rb  0.6719  0.6817  0.3320
Rb  0.5763  0.5685  0.9187
Ta  0.5010  0.5018  0.4940
S  0.6593  0.9514  0.0288
Rb  0.3303  0.3130  0.6713
S  0.3611  0.0288  0.9523